1.
48
Lattice="-4.640 0.241 4.808 5.223 0.020 7.018 -3.277 7.599 0.078" Properties=species:S:1:pos:R:3 comment="Li7Mn4CoO12 PBE with a Hubbard U optimized geometry" rho_g_cm3=4.0 delta_e_f_ev_per_fu=-49.36 pbc="T T T"
Li -4.032 2.773 6.191
Li -1.338 4.025 5.976
Li -0.737 6.433 7.315
Li -5.668 6.543 6.210
Li -3.097 7.618 3.017
Li -0.669 6.457 10.331
Li -3.606 5.269 4.592
Li 0.900 2.663 7.295
Li -0.960 6.327 4.418
Li 1.325 5.158 5.697
Li -6.269 4.136 4.871
Li 3.154 1.307 8.607
Li -1.778 1.417 7.502
Li -2.806 7.749 8.931
O 1.724 0.790 7.078
O 0.031 4.484 7.527
O -2.044 5.741 8.881
O -0.543 2.154 8.997
O -0.204 4.450 4.321
O -4.060 7.152 7.450
O -2.235 5.971 5.912
O 1.589 0.685 4.468
O 0.594 7.167 5.773
O -2.874 3.359 1.724
O -2.335 5.611 2.969
O -2.582 3.488 7.637
O -3.342 0.796 3.362
O -0.835 2.023 3.084
O -4.351 7.022 1.537
O -2.648 3.228 4.517
O -1.942 6.102 11.825
O 0.088 4.581 10.232
O -3.208 0.901 5.973
O -0.571 1.875 5.859
O 4.360 1.765 6.963
O -4.902 4.594 6.423
O -4.338 7.277 4.668
O 2.284 3.118 5.622
Co 0.724 2.607 4.349
Co -4.208 2.718 3.244
Mn -1.506 3.887 3.021
Mn -3.714 5.156 1.643
Mn -1.943 1.394 4.582
Mn -2.959 7.693 5.980
Mn -1.214 4.017 8.933
Mn -7.891 7.803 4.875
Mn 2.989 1.283 5.687
Mn -3.423 5.285 7.557

2.
29
Lattice="-2.436 -3.735 3.511 0.068 0.895 5.604 -8.680 4.799 -0.234" Properties=species:S:1:pos:R:3 comment="Li7Mn3Co3O16 PBE with a Hubbard U optimized geometry" rho_g_cm3=3.9 delta_e_f_ev_per_fu=-49.54 space_group="Cm, No. 8" pbc="T T T"
Li -6.603 0.887 5.936
Li -1.976 -2.096 3.268
Li -8.490 1.935 5.875
Li -6.730 -0.327 8.773
Li -1.762 -1.776 6.035
Li -0.758 0.158 4.287
Li -5.094 1.509 2.754
O -2.764 -0.307 7.217
O -7.122 1.901 4.314
O -3.819 -2.260 6.334
O -7.155 1.447 1.686
O -5.998 3.305 -0.137
O -9.755 1.507 4.421
O -8.551 3.364 2.787
O -4.987 -0.526 3.085
O -3.721 1.467 1.206
O -9.749 1.917 7.419
O -3.666 1.916 4.189
O -2.669 -0.646 4.622
O -4.922 0.000 5.886
O -8.477 3.870 5.490
O -3.916 -1.971 9.044
O -5.956 3.664 2.688
Co -4.488 -0.966 7.506
Co -7.196 3.754 4.108
Co -8.439 1.456 3.069
Mn -3.195 0.863 5.723
Mn -7.283 3.349 1.303
Mn -4.440 -1.439 4.682

3.
24
Lattice="1.428 2.615 0.000 -1.428 2.615 0.000 0.000 0.833 29.560" Properties=species:S:1:pos:R:3 comment="Li7Mn2Co3O12 PBE with a Hubbard U optimized geometry" rho_g_cm3=4.0 delta_e_f_ev_per_fu=-42.17 space_group="C2/m, No. 12" pbc="T T T"
O 0.000 1.883 1.088
O 0.000 3.652 6.052
O 0.000 0.392 10.905
O 0.000 2.410 23.508
O 0.000 4.179 28.472
O 0.000 0.118 3.770
O 0.000 2.192 16.052
O 0.000 5.670 18.656
O 0.000 5.944 25.790
O 0.000 3.870 13.509
O 0.000 1.900 8.694
O 0.000 4.162 20.866
Mn 0.000 2.288 19.729
Mn 0.000 3.774 9.832
Li 0.000 0.637 22.258
Li 0.000 3.926 17.092
Li 0.000 2.136 12.469
Li 0.000 2.504 27.106
Li 0.000 0.416 14.780
Li 0.000 5.425 7.302
Li 0.000 3.558 2.455
Co 0.000 4.181 24.658
Co 0.000 1.881 4.903
Co 0.000 0.000 0.000

4.
24
Lattice="0.075 2.759 -1.034 -1.380 -0.586 2.537 25.015 4.843 14.724" Properties=species:S:1:pos:R:3 comment="Li7Mn2Co3O12 PBE with a Hubbard U optimized geometry" rho_g_cm3=4.0 delta_e_f_ev_per_fu=-36.89 space_group="P-3m1, No. 164" pbc="T T T"
O 17.199 5.053 10.521
O 4.727 2.639 3.180
O 9.273 1.795 5.458
O 6.511 1.963 5.706
O 0.172 0.736 1.975
O 18.982 4.378 13.047
O 3.323 0.643 1.956
O 21.692 4.200 12.768
O 23.538 6.281 14.252
O 15.742 3.048 9.266
O 11.181 3.888 6.979
O 12.529 3.128 9.248
Li 6.375 1.234 3.752
Li 9.521 2.546 7.478
Li 22.253 5.011 14.972
Li 18.641 3.609 10.972
Li 14.188 4.470 8.749
Li 0.000 0.000 0.000
Li 1.457 2.005 1.255
Co 15.765 3.755 11.153
Co 7.944 3.261 5.074
Co 12.508 2.422 7.362
Mn 3.297 1.341 3.814
Mn 20.413 5.676 12.413

5.
28
Lattice="4.999 0.000 0.000 0.740 6.423 0.000 1.021 0.520 7.947" Properties=species:S:1:pos:R:3 comment="Li4MnCo2O7 PBE with a Hubbard U optimized geometry" rho_g_cm3=4.1 delta_e_f_ev_per_fu=-25.33 space_group="P-1, No. 2" pbc="T T T"
Li 4.206 0.794 4.524
Li 2.554 6.149 3.422
Li 1.636 1.773 5.651
Li 2.734 4.176 1.165
Li 0.370 3.212 0.000
Li 3.380 3.471 3.973
Li 5.124 5.170 2.296
Li 4.026 2.767 6.781
O 3.234 0.768 6.503
O 2.441 1.684 3.602
O 3.525 6.175 1.444
O 5.636 1.773 7.669
O 1.626 6.171 5.386
O 4.716 4.690 7.065
O 5.134 0.772 2.560
O 1.675 4.228 3.163
O 2.044 2.253 0.882
O 4.319 5.259 4.345
O 1.124 5.170 0.277
O 2.280 3.776 5.938
O 4.480 3.167 2.008
O 5.085 2.715 4.784
Co 5.773 4.443 5.018
Co 3.178 5.444 6.208
Co 0.987 2.500 2.929
Co 3.581 1.499 1.739
Mn 5.562 6.434 7.347
Mn 1.198 0.509 0.600

6.
24
Lattice="-1.437 0.722 -4.821 -5.105 -0.567 0.488 -3.304 7.966 1.369" Properties=species:S:1:pos:R:3 comment="Li7Mn2Co3O12 PBE with a Hubbard U optimized geometry" rho_g_cm3=4.1 delta_e_f_ev_per_fu=-45.39 space_group="P-1, No. 2" pbc="T T T"
Co -2.707 2.848 -1.891
Co -7.139 5.274 -1.073
Co -1.652 3.983 0.684
Li -4.422 4.582 -0.207
Li -5.424 3.540 -2.757
Li -3.862 7.441 0.043
Li -3.271 0.078 -2.166
Li -4.824 6.399 -2.420
Li -5.022 1.723 -0.544
Li -5.984 0.681 -3.007
O -1.671 1.291 -1.476
O -5.553 6.280 -0.378
O -2.575 5.801 0.421
O -3.768 -0.011 -0.126
O -8.175 6.831 -1.488
O -3.635 4.595 -2.234
O -6.078 8.133 -2.838
O -6.584 5.329 -3.059
O -3.262 2.793 0.095
O -7.271 2.321 -3.385
O -4.293 1.841 -2.586
O -6.211 3.527 -0.730
Mn -6.126 6.289 1.460
Mn -3.720 1.833 -4.424

7.
24
Lattice="1.458 7.631 0.000 -1.458 7.631 0.000 0.000 1.700 9.652" Properties=species:S:1:pos:R:3 comment="Li7Mn2Co3O12 PBE with a Hubbard U optimized geometry" rho_g_cm3=4.1 delta_e_f_ev_per_fu=-43.44 space_group="C2/m, No. 12" pbc="T T T"
O 0.000 15.301 3.702
O 0.000 11.841 5.956
O 0.000 13.577 8.623
O 0.000 3.523 8.580
O 0.000 5.121 3.696
O 0.000 3.385 1.028
O 0.000 8.308 8.525
O 0.000 1.661 5.950
O 0.000 10.228 3.734
O 0.000 6.734 5.917
O 0.000 8.654 1.126
O 0.000 13.439 1.072
Li 0.000 10.092 7.297
Li 0.000 11.895 2.452
Li 0.000 1.661 2.365
Li 0.000 6.870 2.354
Li 0.000 5.067 7.199
Li 0.000 15.301 7.287
Li 0.000 0.000 0.000
Mn 0.000 6.861 9.620
Mn 0.000 10.101 0.032
Co 0.000 8.481 4.826
Co 0.000 3.393 4.837
Co 0.000 13.569 4.815

8.
24
Lattice="-3.115 -4.740 6.460 3.128 -3.877 -1.337 4.553 0.302 2.417" Properties=species:S:1:pos:R:3 comment="Li7Mn2Co3O12 PBE with a Hubbard U optimized geometry" rho_g_cm3=4.1 delta_e_f_ev_per_fu=-45.87 space_group="P2/m, No. 10" pbc="T T T"
O 1.962 -5.335 2.751
O 4.943 -4.219 2.987
O 3.843 -5.893 5.269
O 5.861 -2.605 0.914
O -0.377 -4.097 4.553
O 0.723 -2.422 2.271
O 0.914 -6.842 4.898
O 2.960 -3.728 0.654
O 2.604 -2.980 4.789
O 1.606 -4.587 6.886
O 1.819 -0.970 0.166
O 3.652 -1.474 2.642
Li 0.719 -2.219 4.438
Li 3.840 -1.788 0.540
Li 2.792 -3.384 2.715
Li -0.316 -3.794 6.585
Li 1.774 -4.932 4.825
Li 0.007 -4.309 2.562
Li 1.754 -0.644 2.292
Mn -1.038 -1.580 2.154
Mn -2.076 -3.160 4.306
Co 0.000 0.000 0.000
Co 1.041 -2.735 0.417
Co -1.028 -5.882 4.706

9.
28
Lattice="-2.213 -0.443 2.008 2.886 -9.249 -0.302 5.199 5.999 5.730" Properties=species:S:1:pos:R:3 comment="Li4MnCo2O7 PBE with a Hubbard U optimized geometry" rho_g_cm3=4.1 delta_e_f_ev_per_fu=-25.23 space_group="P-1, No. 2" pbc="T T T"
O 3.237 -5.322 3.758
O 0.914 -3.587 1.541
O 6.092 -4.794 4.468
O 2.636 1.629 3.678
O 3.683 -3.060 2.142
O -0.219 1.101 2.967
O 1.551 -0.807 2.624
O 2.729 -5.498 1.119
O 4.322 -2.887 4.811
O 2.189 -0.633 5.294
O 3.143 1.805 6.316
O -1.323 -1.430 1.844
O 7.196 -2.264 5.592
O 4.959 -0.106 5.894
Li 1.815 2.833 5.237
Li 2.936 -1.847 3.718
Li 0.096 -2.455 3.013
Li 1.198 -7.041 1.450
Li 5.777 -1.238 4.423
Li 4.058 -6.527 2.199
Li 1.443 -4.625 -0.151
Li 4.674 3.348 5.986
Co 3.862 0.820 4.909
Co 0.981 0.212 4.146
Co 2.011 -4.513 2.526
Co 4.892 -3.905 3.290
Mn 0.345 0.077 1.389
Mn 5.528 -3.770 6.047

10.
48
Lattice="5.423 5.256 -2.385 -1.333 -0.013 7.813 3.682 -7.583 -2.218" Properties=species:S:1:pos:R:3 comment="Li7Mn4CoO12 PBE with a Hubbard U optimized geometry" rho_g_cm3=4.0 delta_e_f_ev_per_fu=-49.70 space_group="P-1, No. 2" pbc="T T T"
O 1.454 -0.104 1.306
O 1.791 -1.052 4.205
O 4.152 3.378 4.924
O 3.285 -3.049 5.009
O 6.347 -2.224 1.906
O 3.539 -6.272 1.146
O 3.258 -1.543 -0.857
O 4.955 -3.984 0.095
O 2.870 2.184 0.255
O 4.482 0.709 -1.812
O 1.927 -4.797 3.213
O 5.064 -4.557 2.752
O 3.151 -2.545 2.259
O 3.606 -5.700 -1.690
O 2.803 1.612 3.091
O 1.844 -4.277 0.494
O 4.003 3.877 2.177
O 5.857 2.471 0.012
O 4.576 -0.719 4.152
O 5.923 1.873 2.678
O 7.829 -2.710 -3.161
O 0.012 0.456 6.462
O 5.975 -1.304 -0.995
O 4.565 0.188 0.907
Li 7.680 -1.675 0.378
Li 3.311 -3.563 -1.318
Li 4.423 1.300 4.522
Li 6.239 -3.395 -1.458
Li 4.739 -1.858 0.535
Li 3.576 -5.112 4.594
Li 0.170 -0.693 2.860
Li 4.152 2.842 -1.361
Li 6.076 -0.146 2.308
Li 4.821 -2.637 3.456
Li 3.098 -0.525 2.719
Li 1.670 -2.230 0.866
Li 1.500 1.011 4.620
Li 0.255 -1.464 5.758
Mn 2.726 3.491 3.616
Mn 4.555 -1.161 -2.299
Mn 3.683 -7.579 -2.215
Mn 3.441 -4.378 1.692
Mn 1.854 -2.927 3.701
Mn 7.479 -0.901 -2.534
Mn 4.353 2.068 1.551
Mn 2.968 0.290 -0.291
Co 5.046 -5.836 -0.408
Co 5.916 0.584 -0.492

11.
28
Lattice="1.451 7.662 0.000 -1.451 7.662 0.000 0.000 6.190 11.340" Properties=species:S:1:pos:R:3 comment="Li4MnCo2O7 PBE with a Hubbard U optimized geometry" rho_g_cm3=4.1 delta_e_f_ev_per_fu=-25.45 space_group="Cm, No. 8" pbc="T T T"
O 0.000 18.208 10.082
O 0.000 8.496 8.356
O 0.000 15.114 10.980
O 0.000 16.846 6.146
O 0.000 3.451 1.275
O 0.000 5.575 9.453
O 0.000 12.924 2.932
O 0.000 4.640 5.261
O 0.000 11.298 7.763
O 0.000 15.803 1.867
O 0.000 14.320 6.837
O 0.000 10.295 3.636
O 0.000 7.296 4.615
O 0.000 6.405 0.334
Co 0.000 13.513 4.807
Co 0.000 3.819 3.031
Co 0.000 11.891 9.722
Co 0.000 17.590 8.131
Li 0.000 9.602 1.629
Li 0.000 16.444 3.885
Li 0.000 5.019 7.291
Li 0.000 10.827 5.587
Li 0.000 12.432 0.854
Li 0.000 6.844 2.388
Li 0.000 14.732 8.966
Li 0.000 9.077 10.691
Mn 0.000 7.921 6.482
Mn 0.000 0.052 0.088

12.
16
Lattice="2.969 0.000 0.000 -1.236 4.922 0.000 -0.458 -2.045 9.853" Properties=species:S:1:pos:R:3 comment="Li5Mn2CoO8 PBE with a Hubbard U optimized geometry" rho_g_cm3=3.8 delta_e_f_ev_per_fu=-31.35 space_group="P1, No. 1" pbc="T T T"
Li 1.532 2.231 1.276
Li 1.471 3.813 4.919
Li -0.297 0.604 8.640
Li -0.052 1.750 3.727
Li 1.389 1.228 6.043
O -0.321 -0.366 6.839
O 1.436 3.182 3.016
O 1.217 -0.747 9.174
O 0.080 3.669 0.716
O 1.357 0.298 4.118
O -0.086 2.534 5.676
O 1.385 2.206 8.008
O 0.038 0.751 1.828
Mn -0.071 3.384 7.302
Mn 0.011 0.019 0.035
Co 1.336 -0.515 2.583